DFT (GGA+U) results for a relaxed NdCrS2O crystal.

Results
ΔE_f = -2.184 eV/atom

Structure (CIF):
```
data_NdCrS2O
_space_group_name_H-M_alt 'P 1'
_space_group_IT_number 1
_space_group_name_Hall 'P 1'
_cell_length_a 6.1111
_cell_length_b 6.1111
_cell_length_c 7.9817
_cell_angle_alpha 89.92
_cell_angle_beta 89.92
_cell_angle_gamma 35.55
loop_
_atom_site_label
_atom_site_fract_x
_atom_site_fract_y
_atom_site_fract_z
O1 0.8335 0.8335 0.4390
O2 0.1665 0.1665 0.5610
Cr1 0.5000 0.5000 0.0000
Cr2 0.0000 0.0000 0.5000
S1 0.4552 0.4552 0.6982
S2 0.1372 0.1372 0.9711
S3 0.5448 0.5448 0.3018
S4 0.8628 0.8628 0.0289
Nd1 0.7341 0.7341 0.7061
Nd2 0.2659 0.2659 0.2939
```

=====

DFT (GGA+U) results for a relaxed Li3Fe8B8O24 crystal.

Results
ΔE to the lowest computed polymorph = 10 meV/atom
ΔE_f = -2.245 eV/atom

Structure (CIF):
```
data_Li3Fe8B8O24
_space_group_name_H-M_alt 'P 1'
_space_group_IT_number 1
_space_group_name_Hall 'P 1'
_cell_length_a 5.2199
_cell_length_b 9.1148
_cell_length_c 10.1945
_cell_angle_alpha 89.31
_cell_angle_beta 89.45
_cell_angle_gamma 89.42
loop_
_atom_site_label
_atom_site_fract_x
_atom_site_fract_y
_atom_site_fract_z
B1 0.1501 0.4978 0.6300
B2 0.6760 0.3219 0.1186
B3 0.1669 0.8394 0.1355
B4 0.3293 0.9940 0.3775
B5 0.8417 0.5003 0.3740
B6 0.8248 0.1746 0.8795
B7 0.3392 0.6594 0.8724
B8 0.6666 0.0021 0.6289
O1 0.0980 0.5069 0.3359
O2 0.6866 0.6202 0.3732
O3 0.8184 0.8821 0.6405
O4 0.9047 0.5053 0.6833
O5 0.7775 0.1345 0.5819
O6 0.9082 0.8439 0.1302
O7 0.2562 0.6266 0.5770
O8 0.2141 0.7838 0.8243
O9 0.8269 0.4352 0.0741
O10 0.1967 0.5378 0.9158
O11 0.3005 0.7179 0.1808
O12 0.5977 0.6551 0.8809
O13 0.7464 0.3646 0.4159
O14 0.4028 0.0026 0.6603
O15 0.2470 0.8637 0.4346
O16 0.3048 0.9650 0.0934
O17 0.5820 0.0053 0.3317
O18 0.4134 0.3225 0.1085
O19 0.6866 0.0590 0.9335
O20 0.1677 0.1119 0.3603
O21 0.8051 0.1960 0.1728
O22 0.0872 0.1685 0.8619
O23 0.2802 0.3678 0.6313
O24 0.6880 0.3018 0.8420
Li1 0.3340 0.3259 0.9054
Li2 0.1868 0.1697 0.1697
Li3 0.1493 0.1730 0.6582
Fe1 0.3372 0.6629 0.3768
Fe2 0.6528 0.3522 0.6213
Fe3 0.8146 0.1622 0.3840
Fe4 0.1889 0.5083 0.1315
Fe5 0.1659 0.8269 0.6321
Fe6 0.6713 0.9952 0.1237
Fe7 0.3204 0.9889 0.8793
Fe8 0.8332 0.5017 0.8790
```

=====

DFT (GGA+U) results for a relaxed LiFeBO3 crystal.

Results
ΔE to the lowest computed polymorph = 50 meV/atom
ΔE_f = -2.283 eV/atom

Structure (CIF):
```
data_LiFeBO3
_space_group_name_H-M_alt 'P 1'
_space_group_IT_number 1
_space_group_name_Hall 'P 1'
_cell_length_a 3.1838
_cell_length_b 8.9796
_cell_length_c 9.7313
_cell_angle_alpha 90.07
_cell_angle_beta 89.70
_cell_angle_gamma 91.59
loop_
_atom_site_label
_atom_site_fract_x
_atom_site_fract_y
_atom_site_fract_z
Li1 0.7561 0.8759 0.2884
Li2 0.7418 0.6246 0.7887
Li3 0.2580 0.3754 0.2113
Li4 0.2441 0.1241 0.7115
O1 0.7351 0.8019 0.9131
O2 0.2479 0.3018 0.5868
O3 0.2360 0.5421 0.7038
O4 0.7603 0.6864 0.1689
O5 0.2405 0.3136 0.8311
O6 0.7515 0.6982 0.4132
O7 0.2397 0.1868 0.3310
O8 0.2643 0.1981 0.0869
O9 0.2655 0.9579 0.2044
O10 0.7348 0.0421 0.7956
O11 0.7608 0.8133 0.6690
O12 0.7638 0.4579 0.2962
Fe1 0.7483 0.2902 0.4422
Fe2 0.7497 0.2108 0.9432
Fe3 0.2516 0.7097 0.5579
Fe4 0.2503 0.7890 0.0568
B1 0.7434 0.8895 0.7929
B2 0.2412 0.3892 0.7066
B3 0.2566 0.1105 0.2071
B4 0.7588 0.6108 0.2934
```

=====

> Which of these has the lowest ΔE_f?

LiFeBO3

=====

> Which of these has the highest ΔE_f?

NdCrS2O

=====

> Number 2 is which compound?

Li3Fe8B8O24